(1)
## Lu2FeS4 (PBE)

Data for an optimized crystal structure of Lu2FeS4.

**Magnetization**: 1.46 Bohr magnetons per cell
**Excess energy over the best structure of this formula in the dataset**: 2.92 eV per formula unit

POSCAR file:
```
Lu2FeS4
1.0
7.561 0.000 0.000
-3.761 6.698 0.000
-0.116 -4.072 30.770
Lu Fe S
20 10 40
Direct
0.000 0.000 0.000 Lu
0.000 0.005 0.495 Lu
0.095 0.803 0.101 Lu
0.109 0.312 0.597 Lu
0.117 0.804 0.596 Lu
0.209 0.613 0.697 Lu
0.213 0.606 0.196 Lu
0.304 0.402 0.298 Lu
0.304 0.908 0.801 Lu
0.310 0.402 0.802 Lu
0.399 0.195 0.402 Lu
0.501 0.000 0.000 Lu
0.502 0.503 0.000 Lu
0.591 0.804 0.597 Lu
0.688 0.568 0.695 Lu
0.703 0.098 0.195 Lu
0.792 0.402 0.802 Lu
0.803 0.404 0.299 Lu
0.887 0.169 0.896 Lu
0.906 0.709 0.402 Lu
0.065 0.559 0.930 Fe
0.137 0.026 0.270 Fe
0.265 0.173 0.133 Fe
0.410 0.212 0.894 Fe
0.468 0.778 0.328 Fe
0.657 0.336 0.524 Fe
0.702 0.610 0.196 Fe
0.870 0.964 0.726 Fe
0.899 0.184 0.407 Fe
0.936 0.436 0.067 Fe
0.004 0.252 0.248 S
0.012 0.276 0.752 S
0.097 0.543 0.852 S
0.106 0.054 0.345 S
0.111 0.558 0.347 S
0.115 0.055 0.850 S
0.179 0.335 0.442 S
0.196 0.858 0.447 S
0.200 0.346 0.947 S
0.225 0.894 0.946 S
0.288 0.646 0.048 S
0.298 0.155 0.548 S
0.298 0.646 0.551 S
0.302 0.155 0.051 S
0.395 0.960 0.149 S
0.396 0.939 0.648 S
0.397 0.454 0.649 S
0.440 0.482 0.154 S
0.499 0.247 0.752 S
0.501 0.251 0.248 S
0.507 0.755 0.249 S
0.509 0.748 0.749 S
0.586 0.522 0.853 S
0.592 0.055 0.850 S
0.600 0.556 0.348 S
0.636 0.085 0.353 S
0.698 0.848 0.952 S
0.700 0.346 0.947 S
0.715 0.353 0.447 S
0.717 0.874 0.443 S
0.791 0.127 0.048 S
0.804 0.659 0.549 S
0.806 0.154 0.549 S
0.810 0.646 0.048 S
0.894 0.936 0.650 S
0.901 0.453 0.148 S
0.911 0.455 0.649 S
0.913 0.956 0.151 S
0.973 0.721 0.243 S
0.992 0.748 0.749 S
```

=====

(2)
## Lu4FeS7 (PBE)

Data for an optimized crystal structure of Lu4FeS7.

**Magnetization**: 4.00 Bohr magnetons per cell

POSCAR file:
```
Lu4FeS7
1.0
6.094 -1.845 0.000
6.094 1.845 0.000
-2.790 0.000 10.858
Lu Fe S
4 1 7
Direct
0.000 0.000 0.000 Lu
0.389 0.389 0.597 Lu
0.581 0.581 0.361 Lu
0.695 0.695 0.801 Lu
0.806 0.806 0.219 Fe
0.035 0.035 0.744 S
0.202 0.202 0.290 S
0.355 0.355 0.846 S
0.427 0.427 0.149 S
0.661 0.661 0.021 S
0.731 0.731 0.579 S
0.950 0.950 0.434 S
```

=====

(3)
## Lu2FeS4 (PBE)

Data for an optimized crystal structure of Lu2FeS4.

**Magnetization**: 39.06 Bohr magnetons per cell
**Excess energy over the best structure of this formula in the dataset**: 0.55 eV per formula unit

POSCAR file:
```
Lu2FeS4
1.0
7.561 0.000 0.000
-3.761 6.698 0.000
-0.116 -4.072 30.770
Lu Fe S
20 10 40
Direct
0.000 0.000 0.000 Lu
0.006 0.495 0.001 Lu
0.082 0.691 0.796 Lu
0.090 0.195 0.300 Lu
0.203 0.402 0.600 Lu
0.277 0.554 0.894 Lu
0.304 0.093 0.395 Lu
0.390 0.791 0.694 Lu
0.396 0.291 0.199 Lu
0.396 0.794 0.199 Lu
0.488 0.495 0.001 Lu
0.497 0.992 0.497 Lu
0.600 0.200 0.796 Lu
0.608 0.692 0.795 Lu
0.678 0.356 0.095 Lu
0.696 0.888 0.601 Lu
0.793 0.584 0.394 Lu
0.800 0.600 0.896 Lu
0.895 0.291 0.199 Lu
0.997 0.994 0.498 Lu
0.075 0.150 0.722 Fe
0.199 0.397 0.093 Fe
0.201 0.882 0.606 Fe
0.293 0.597 0.332 Fe
0.302 0.587 0.469 Fe
0.490 0.981 0.925 Fe
0.690 0.396 0.526 Fe
0.793 0.097 0.395 Fe
0.890 0.780 0.129 Fe
0.898 0.794 0.266 Fe
0.042 0.584 0.146 S
0.055 0.608 0.642 S
0.056 0.091 0.646 S
0.065 0.131 0.145 S
0.110 0.255 0.442 S
0.145 0.290 0.950 S
0.147 0.791 0.447 S
0.152 0.788 0.948 S
0.231 0.985 0.247 S
0.247 0.497 0.250 S
0.247 0.499 0.747 S
0.250 0.994 0.748 S
0.333 0.667 0.052 S
0.337 0.195 0.049 S
0.346 0.690 0.544 S
0.353 0.196 0.546 S
0.439 0.400 0.348 S
0.439 0.878 0.849 S
0.454 0.395 0.848 S
0.488 0.927 0.353 S
0.516 0.068 0.641 S
0.538 0.596 0.646 S
0.542 0.584 0.146 S
0.545 0.091 0.151 S
0.636 0.788 0.948 S
0.644 0.790 0.447 S
0.650 0.295 0.448 S
0.659 0.319 0.951 S
0.733 0.466 0.247 S
0.741 0.994 0.747 S
0.743 0.487 0.749 S
0.752 0.984 0.246 S
0.842 0.195 0.547 S
0.843 0.686 0.050 S
0.859 0.196 0.049 S
0.884 0.729 0.552 S
0.938 0.878 0.847 S
0.940 0.394 0.848 S
0.943 0.892 0.346 S
0.959 0.398 0.350 S
```

=====

(4)
## Lu2Fe4Si9 (PBE)

Data for an optimized crystal structure of Lu2Fe4Si9.

**Magnetization**: 0.01 Bohr magnetons per cell

POSCAR file:
```
Lu2Fe4Si9
1.0
3.928 0.000 0.000
-1.964 3.402 0.000
0.000 0.000 15.857
Lu Fe Si
2 4 9
Direct
0.333 0.667 0.241 Lu
0.667 0.333 0.759 Lu
0.333 0.667 0.591 Fe
0.333 0.667 0.897 Fe
0.667 0.333 0.103 Fe
0.667 0.333 0.409 Fe
0.000 0.000 0.130 Si
0.000 0.000 0.347 Si
0.000 0.000 0.500 Si
0.000 0.000 0.653 Si
0.000 0.000 0.870 Si
0.333 0.667 0.043 Si
0.333 0.667 0.434 Si
0.667 0.333 0.566 Si
0.667 0.333 0.957 Si
```

=====

(5)
## Lu3Fe2Si3 (PBE)

Data for an optimized crystal structure of Lu3Fe2Si3.

POSCAR file:
```
Lu3Fe2Si3
1.0
2.015 -5.137 0.000
2.015 5.137 0.000
0.000 0.000 13.321
Lu Fe Si
6 4 6
Direct
0.078 0.922 0.613 Lu
0.078 0.922 0.887 Lu
0.361 0.639 0.750 Lu
0.639 0.361 0.250 Lu
0.922 0.078 0.113 Lu
0.922 0.078 0.387 Lu
0.214 0.786 0.081 Fe
0.214 0.786 0.419 Fe
0.786 0.214 0.581 Fe
0.786 0.214 0.919 Fe
0.329 0.671 0.250 Si
0.379 0.621 0.539 Si
0.379 0.621 0.961 Si
0.621 0.379 0.039 Si
0.621 0.379 0.461 Si
0.671 0.329 0.750 Si
```

=====

(6)
## LuFe2Si2 (PBE)

Data for an optimized crystal structure of LuFe2Si2.

POSCAR file:
```
LuFe2Si2
1.0
-1.960 1.960 4.693
1.960 -1.960 4.693
1.960 1.960 -4.693
Lu Fe Si
1 2 2
Direct
0.000 0.000 0.000 Lu
0.250 0.750 0.500 Fe
0.750 0.250 0.500 Fe
0.368 0.368 0.000 Si
0.632 0.632 0.000 Si
```

=====

| no. | E (MP2020) (eV per atom) | electronic total energy (eV/atom) |
| --- | --- | --- |
| 1 | -6.219 | -5.93 |
| 2 | -6.608 | -6.31 |
| 3 | -6.558 | -6.27 |
| 4 | -6.395 | -6.44 |
| 5 | -6.528 | -6.55 |
| 6 | -7.106 | -7.13 |